# KNbCl6 | the Materials Project database | r²SCAN | optimized geometry
# ΔE_f in meV/atom: -1598.3
# Calculated volume in Å³/f.u.: 246.3
# Final energy in eV per cell: -241.360
# Total magnetization in μB per atom: 0.000
# Calculated density in g/cm3: 2.32
data_KNbCl6
_chemical_formula_sum 'K3 Nb3 Cl18'
_cell_length_a 7.0429
_cell_length_b 7.0429
_cell_length_c 17.2030
_cell_angle_alpha 90.00
_cell_angle_beta 90.00
_cell_angle_gamma 120.00
_symmetry_space_group_name_H-M 'R 3 m'
_symmetry_Int_Tables_number 160
_symmetry_space_group_name_Hall 'R 3 -2"'
loop_
_atom_site_label
_atom_site_fract_x
_atom_site_fract_y
_atom_site_fract_z
_atom_site_occupancy
K1 0.0000 0.0000 0.0000 1
Nb1 0.0000 0.0000 0.2536 1
Cl1 0.0153 0.5077 0.0000 1
Cl2 0.1745 0.3490 0.8403 1